Record 1
A plane-wave DFT calculation with PBE-GGA was carried out for a geometry-optimized Na8TiO6 structure.

As for the total moment: 0.0001 μB/atom. The calculation puts the energy of formation at -1964 meV per atom.

Lattice parameters (Å, degrees): 11.6483 11.6483 11.6749 90.00 90.00 120.00
Space group P6_3cm (No. 185)
Asymmetric unit:
1 Na 0.0000 0.1640 0.0000
2 Na 0.0000 0.4788 0.2242
3 Na 0.1349 0.5459 0.9726
4 Na 0.1424 0.3370 0.3423
5 Na 0.1599 0.3846 0.6128
6 Ti 0.0000 0.0000 0.2475
7 Ti 0.3333 0.6667 0.2312
8 O 0.0000 0.0000 0.0910
9 O 0.0000 0.1501 0.7994
10 O 0.0000 0.3405 0.0833
11 O 0.0000 0.3496 0.4725
12 O 0.1858 0.5151 0.7809
13 O 0.3333 0.6667 0.0736

***

Record 2
A plane-wave DFT calculation with PBE-GGA was carried out for a geometry-optimized Na13Ti24O54 structure.

As for the total moment: 0.0110 μB/atom. The calculation puts the energy of formation at -3193 meV per atom.

Lattice parameters (Å, degrees): 8.860 11.133 11.735 75.98 82.70 74.61
Space group P1 (No. 1)
Asymmetric unit:
1 Na 0.000 0.000 0.000
2 Na 0.005 0.503 0.011
3 Na 0.011 0.701 0.445
4 Na 0.025 0.197 0.456
5 Na 0.331 0.007 0.002
6 Na 0.357 0.205 0.456
7 Na 0.376 0.701 0.445
8 Na 0.417 0.908 0.588
9 Na 0.562 0.308 0.875
10 Na 0.667 0.000 0.004
11 Na 0.689 0.206 0.454
12 Na 0.783 0.905 0.585
13 Na 0.938 0.297 0.870
14 Ti 0.017 0.094 0.719
15 Ti 0.063 0.227 0.176
16 Ti 0.095 0.410 0.608
17 Ti 0.125 0.479 0.298
18 Ti 0.179 0.600 0.730
19 Ti 0.234 0.720 0.155
20 Ti 0.264 0.790 0.850
21 Ti 0.293 0.976 0.283
22 Ti 0.341 0.110 0.738
23 Ti 0.395 0.228 0.171
24 Ti 0.428 0.414 0.606
25 Ti 0.459 0.478 0.295
26 Ti 0.512 0.601 0.730
27 Ti 0.567 0.722 0.157
28 Ti 0.594 0.789 0.852
29 Ti 0.628 0.976 0.286
30 Ti 0.678 0.105 0.729
31 Ti 0.729 0.230 0.172
32 Ti 0.761 0.417 0.605
33 Ti 0.789 0.485 0.301
34 Ti 0.844 0.605 0.727
35 Ti 0.897 0.728 0.160
36 Ti 0.927 0.794 0.849
37 Ti 0.962 0.979 0.283
38 O 0.025 0.820 0.216
39 O 0.044 0.478 0.775
40 O 0.067 0.908 0.788
41 O 0.105 0.611 0.135
42 O 0.124 0.048 0.159
43 O 0.129 0.384 0.455
44 O 0.131 0.662 0.876
45 O 0.132 0.914 0.382
46 O 0.154 0.113 0.838
47 O 0.202 0.091 0.619
48 O 0.220 0.547 0.577
49 O 0.225 0.282 0.075
50 O 0.226 0.822 0.001
51 O 0.231 0.154 0.299
52 O 0.248 0.593 0.323
53 O 0.291 0.296 0.668
54 O 0.314 0.725 0.683
55 O 0.333 0.380 0.246
56 O 0.359 0.819 0.215
57 O 0.380 0.478 0.770
58 O 0.399 0.908 0.790
59 O 0.440 0.611 0.136
60 O 0.456 0.048 0.160
61 O 0.460 0.921 0.386
62 O 0.463 0.386 0.454
63 O 0.467 0.662 0.877
64 O 0.491 0.115 0.841
65 O 0.536 0.085 0.621
66 O 0.554 0.546 0.578
67 O 0.559 0.822 0.002
68 O 0.565 0.274 0.073
69 O 0.566 0.154 0.298
70 O 0.581 0.593 0.321
71 O 0.623 0.298 0.669
72 O 0.644 0.729 0.684
73 O 0.667 0.381 0.247
74 O 0.690 0.824 0.211
75 O 0.713 0.476 0.771
76 O 0.733 0.908 0.788
77 O 0.777 0.612 0.137
78 O 0.793 0.048 0.161
79 O 0.798 0.383 0.455
80 O 0.798 0.921 0.386
81 O 0.804 0.661 0.878
82 O 0.820 0.119 0.836
83 O 0.866 0.089 0.617
84 O 0.892 0.544 0.579
85 O 0.894 0.821 0.002
86 O 0.897 0.281 0.073
87 O 0.900 0.155 0.299
88 O 0.918 0.594 0.324
89 O 0.957 0.296 0.667
90 O 0.976 0.726 0.679
91 O 0.998 0.386 0.241

***

Record 3
A plane-wave DFT calculation with PBE-GGA was carried out for a geometry-optimized Na4Ti7O16 structure.

As for the total moment: 0.0000 μB/atom. The calculation puts the energy of formation at -3146 meV per atom.

Lattice parameters (Å, degrees): 6.174 6.085 9.026 90.00 93.53 90.00
Space group P2/m (No. 10)
Asymmetric unit:
1 Na 0.228 0.000 0.121
2 Na 0.245 0.500 0.373
3 Ti 0.000 0.000 0.500
4 Ti 0.263 0.256 0.756
5 Ti 0.500 0.000 0.500
6 Ti 0.500 0.500 0.000
7 O 0.052 0.000 0.725
8 O 0.083 0.500 0.722
9 O 0.250 0.207 0.511
10 O 0.282 0.268 0.957
11 O 0.481 0.000 0.720
12 O 0.491 0.500 0.776

***

Record 4
A plane-wave DFT calculation with PBE-GGA was carried out for a geometry-optimized NaTiO2 structure.

As for the total moment: 0.0028 μB/atom. The calculation puts the energy of formation at -2753 meV per atom.

Lattice parameters (Å, degrees): 8.817 8.817 8.817 90.00 90.00 90.00
Space group Fd-3m (No. 227, origin choice 2)
Asymmetric unit:
1 Na 0.000 0.000 0.000
2 Ti 0.000 0.000 0.500
3 O 0.014 0.014 0.736

***

| no. | MP2020-corrected energy (eV/atom) |
| --- | --- |
| 1 | -5.1744 |
| 2 | -8.4006 |
| 3 | -8.3210 |
| 4 | -7.5315 |